(1)
# Cs2MnSi5O12

A relaxed Cs2MnSi5O12 crystal (PBE+U, the Materials Project).

Cell and atoms, written as POSCAR:
```
Cs2MnSi5O12
1.0
-13.902 0.000 0.000
0.000 0.000 -14.013
0.000 -14.015 0.000
Cs Mn Si O
16 8 40 96
Cartesian
-5.191 -12.111 -9.098
-12.142 -8.912 -4.915
-8.711 -5.103 -11.921
-1.760 -1.904 -2.091
-8.711 -1.904 -4.915
-1.760 -5.103 -9.098
-5.191 -8.912 -2.091
-12.142 -12.111 -11.921
-1.709 -8.544 -12.444
-8.660 -12.478 -1.569
-12.193 -1.537 -8.575
-5.242 -5.471 -5.437
-12.193 -5.471 -1.569
-5.242 -1.537 -12.444
-1.709 -12.478 -5.437
-8.660 -8.544 -8.575
-1.687 -2.300 -6.073
-8.638 -4.708 -7.939
-12.215 -9.307 -0.933
-5.264 -11.715 -13.080
-12.215 -11.715 -7.939
-5.264 -9.307 -6.073
-1.687 -4.708 -13.080
-8.638 -2.300 -0.933
-5.174 -4.658 -1.399
-12.125 -2.350 -12.614
-8.728 -11.665 -5.607
-1.777 -9.357 -8.405
-8.728 -9.357 -12.614
-1.777 -11.665 -1.399
-5.174 -2.350 -8.405
-12.125 -4.658 -5.607
-12.682 -12.430 -1.906
-5.731 -8.593 -12.107
-1.220 -5.422 -5.100
-8.171 -1.585 -8.912
-1.220 -1.585 -12.107
-8.171 -5.422 -1.906
-12.682 -8.593 -8.912
-5.731 -12.430 -5.100
-11.779 -5.654 -8.522
-4.828 -1.354 -5.490
-2.123 -12.661 -12.497
-9.074 -8.361 -1.516
-2.123 -8.361 -5.490
-9.074 -12.661 -8.522
-11.779 -1.354 -1.516
-4.828 -5.654 -12.497
-8.272 -8.812 -4.461
-1.320 -12.210 -9.552
-5.631 -1.804 -2.545
-12.582 -5.203 -11.467
-5.631 -5.203 -9.552
-12.582 -1.804 -4.461
-8.272 -12.210 -11.467
-1.320 -8.812 -2.545
-9.290 -1.102 -11.899
-2.338 -5.906 -2.114
-4.613 -8.109 -9.120
-11.564 -12.913 -4.892
-4.613 -12.913 -2.114
-11.564 -8.109 -11.899
-9.290 -5.906 -4.892
-2.338 -1.102 -9.120
-0.419 -8.815 -9.142
-7.370 -12.207 -4.871
-13.483 -1.808 -11.877
-6.532 -5.200 -2.136
-13.483 -5.200 -4.871
-6.532 -1.808 -9.142
-0.419 -12.207 -2.136
-7.370 -8.815 -11.877
-5.604 -7.084 -12.750
-12.555 -13.938 -1.263
-8.298 -0.077 -8.269
-1.347 -6.931 -5.743
-8.298 -6.931 -1.263
-1.347 -0.077 -12.750
-5.604 -13.938 -5.743
-12.555 -7.084 -8.269
-1.655 -11.699 -13.778
-8.606 -9.323 -0.235
-12.248 -4.692 -7.241
-5.297 -2.316 -6.771
-12.248 -2.316 -0.235
-5.297 -4.692 -13.778
-1.655 -9.323 -6.771
-8.606 -11.699 -7.241
-10.652 -8.217 -1.686
-3.701 -12.806 -12.327
-3.250 -1.209 -5.321
-10.201 -5.798 -8.692
-3.250 -5.798 -12.327
-10.201 -1.209 -1.686
-10.652 -12.806 -8.692
-3.701 -8.217 -5.321
-11.829 -3.900 -12.177
-4.878 -3.107 -1.835
-2.074 -10.908 -8.842
-9.025 -10.115 -5.171
-2.074 -10.115 -1.835
-9.025 -10.908 -12.177
-11.829 -3.107 -5.171
-4.878 -3.900 -8.842
-1.917 -5.406 -3.617
-8.868 -1.602 -10.395
-11.985 -12.413 -3.389
-5.034 -8.609 -10.624
-11.985 -8.609 -10.395
-5.034 -12.413 -3.617
-1.917 -1.602 -10.624
-8.868 -5.406 -3.389
-7.130 -1.557 -2.087
-0.179 -5.451 -11.926
-6.772 -8.564 -4.920
-13.723 -12.458 -9.093
-6.772 -12.458 -11.926
-13.723 -8.564 -2.087
-7.130 -5.451 -9.093
-0.179 -1.557 -4.920
-11.593 -0.557 -4.905
-4.642 -6.451 -9.108
-2.309 -7.564 -2.101
-9.261 -13.458 -11.911
-2.309 -13.458 -9.108
-9.261 -7.564 -4.905
-11.593 -6.451 -11.911
-4.642 -0.557 -2.101
-8.366 -5.167 -5.963
-1.415 -1.840 -8.050
-5.536 -12.175 -1.043
-12.487 -8.848 -12.969
-5.536 -8.848 -8.050
-12.487 -12.175 -5.963
-8.366 -1.840 -12.969
-1.415 -5.167 -1.043
-3.959 -1.397 -8.935
-10.910 -5.610 -5.078
-9.943 -8.405 -12.084
-2.992 -12.618 -1.928
-9.943 -12.618 -5.078
-2.992 -8.405 -8.935
-3.959 -5.610 -1.928
-10.910 -1.397 -12.084
-5.052 -11.338 -6.042
-12.003 -9.684 -7.971
-8.850 -4.331 -0.965
-1.899 -2.677 -13.048
-8.850 -2.677 -7.971
-1.899 -4.331 -6.042
-5.052 -9.684 -13.048
-12.003 -11.338 -0.965
-8.362 -11.936 -9.833
-1.410 -9.086 -4.180
-5.541 -4.929 -11.186
-12.492 -2.079 -2.826
-5.541 -2.079 -4.180
-12.492 -4.929 -9.833
-8.362 -9.086 -2.826
-1.410 -11.936 -11.186
```

## Properties
Crystal system: orthorhombic
Total magnetization in μB per atom: 0.250
Symmetry: Pbca
E_form in eV/atom: -3.024

***

(2)
# Li9Mn2Co5O16

A relaxed Li9Mn2Co5O16 crystal (PBE+U, the Materials Project).

Cell and atoms, written as POSCAR:
```
Li9Mn2Co5O16
1.0
2.926 0.000 0.000
0.000 9.940 0.000
0.000 1.785 9.973
Li Mn Co O
9 2 5 16
Cartesian
1.463 4.014 8.746
1.463 8.803 6.167
1.463 2.922 3.807
0.000 3.531 6.236
0.000 8.194 3.738
0.000 2.685 1.308
1.463 7.711 1.228
0.000 9.040 8.666
0.000 0.893 4.987
0.000 0.000 0.000
1.463 5.863 4.987
0.000 6.336 7.542
0.000 5.389 2.431
1.463 10.354 2.686
1.463 4.970 0.000
1.463 1.371 7.287
1.463 1.171 0.566
1.463 7.570 8.101
1.463 2.261 5.720
0.000 2.563 8.202
0.000 7.048 5.528
0.000 1.698 3.044
1.463 6.594 3.186
0.000 6.263 0.628
1.463 5.131 6.788
1.463 9.464 4.253
1.463 4.155 1.872
0.000 4.677 4.446
0.000 9.162 1.771
0.000 5.462 9.345
1.463 10.554 9.408
0.000 10.027 6.929
```

## Properties
Energy above the lowest structure with this stoichiometry in meV per atom: 53
Crystal system: monoclinic
Total magnetization in μB per atom: 0.437
Symmetry: P2/m
E_form in eV/atom: -1.811

***

(3)
# Fe3P2O12

A relaxed Fe3P2O12 crystal (PBE+U, the Materials Project).

Cell and atoms, written as POSCAR:
```
Fe3P2O12
1.0
-3.244 2.969 -1.213
-4.552 -2.074 7.098
3.386 6.763 7.498
Fe P O
6 4 24
Cartesian
0.071 4.866 3.142
0.000 0.000 0.000
-2.079 4.496 9.266
-1.776 7.586 7.440
-2.331 3.162 4.117
-2.634 0.072 5.942
-1.866 6.249 11.925
-2.391 6.200 4.631
-2.544 1.409 1.458
-2.019 1.458 8.752
-4.244 4.091 8.683
1.598 6.884 8.474
-0.166 3.567 4.699
-6.008 0.774 4.908
-2.133 5.046 12.867
-0.924 6.305 4.137
-2.277 2.612 0.516
-3.486 1.353 9.245
-2.429 5.961 10.503
0.576 4.288 6.951
-1.981 1.697 2.879
-4.986 3.370 6.431
-1.725 2.887 8.207
-0.683 7.870 9.040
-2.685 4.771 5.176
-3.727 -0.212 4.342
-2.757 3.413 10.650
-0.257 7.899 6.370
-1.653 4.245 2.732
-4.153 -0.241 7.012
-0.154 4.696 9.582
-1.820 5.664 7.827
-4.256 2.962 3.800
-2.590 1.994 5.555
```

## Properties
Crystal system: monoclinic
Total magnetization in μB per atom: 0.588
Symmetry: P2_1/c
E_form in eV/atom: -1.620

***

(4)
# Li5Co2Si2O10

A relaxed Li5Co2Si2O10 crystal (PBE+U, the Materials Project).

Cell and atoms, written as POSCAR:
```
Li5Co2Si2O10
1.0
5.512 0.000 0.000
0.000 4.929 0.000
0.000 4.832 15.880
Li Co Si O
10 4 4 20
Cartesian
3.200 4.892 6.470
0.457 4.912 1.505
3.167 4.897 12.751
3.247 4.843 15.814
0.488 4.859 8.053
5.055 7.328 9.445
2.313 7.308 14.409
2.346 2.480 4.811
5.025 2.443 0.113
2.265 2.427 7.874
5.080 7.311 12.690
2.350 7.321 11.067
0.432 4.895 4.750
3.163 4.905 3.127
0.469 4.884 14.360
3.234 4.934 9.461
5.044 2.468 6.420
2.278 2.518 1.521
5.018 5.227 3.256
2.192 5.393 4.701
4.761 5.420 9.344
2.028 5.342 14.280
5.171 5.312 15.688
2.343 5.379 8.174
5.098 5.517 13.063
2.613 5.507 10.925
5.126 5.714 6.200
2.380 0.841 1.688
3.320 7.809 12.641
0.494 7.643 11.196
3.484 2.926 6.340
0.751 3.004 1.404
0.342 2.896 7.748
3.169 2.963 0.234
0.414 3.101 5.123
2.900 3.091 2.985
0.386 8.130 14.140
3.132 3.257 9.628
```

## Properties
Crystal system: monoclinic
Total magnetization in μB per atom: 0.263
Symmetry: Pc
E_form in eV/atom: -2.244

***

(5)
# MgMn3VO8

A relaxed MgMn3VO8 crystal (PBE+U, the Materials Project).

Cell and atoms, written as POSCAR:
```
MgMn3VO8
1.0
-1.258 -5.299 -8.476
-3.764 -9.531 -4.984
-6.081 -10.059 -10.300
Mg Mn V O
1 3 1 8
Cartesian
-8.872 -18.785 -19.199
-7.942 -14.902 -13.005
-10.438 -22.229 -19.571
-8.547 -17.367 -16.917
-3.751 -9.490 -5.047
-3.156 -8.199 -10.917
-4.954 -12.825 -13.665
-6.356 -14.899 -11.833
-3.976 -7.306 -7.870
-4.228 -10.224 -9.534
-6.149 -12.024 -10.069
-8.572 -19.330 -17.093
-6.741 -14.646 -14.452
```

## Properties
Energy above the lowest structure with this stoichiometry in meV per atom: 0
Crystal system: monoclinic
Total magnetization in μB per atom: 0.923
Symmetry: C2
E_form in eV/atom: -2.162

***

(6)
# Ca3Fe6Sn2O16

A relaxed Ca3Fe6Sn2O16 crystal (PBE+U, the Materials Project).

Cell and atoms, written as POSCAR:
```
Ca3Fe6Sn2O16
1.0
0.000 0.000 3.108
9.357 0.039 0.000
0.046 10.958 0.000
Ca Fe Sn O
3 6 2 16
Cartesian
2.422 9.208 0.777
7.103 7.275 0.777
6.964 1.718 2.331
8.822 9.755 0.777
4.109 6.709 0.777
0.626 1.181 2.331
5.178 4.358 2.331
0.899 6.609 2.331
5.533 9.802 2.331
8.644 4.364 0.777
3.847 1.217 0.777
5.771 0.308 0.777
1.065 5.336 0.777
3.625 10.694 2.331
8.215 5.785 2.331
8.575 0.801 0.777
4.042 4.770 0.777
0.812 10.119 2.331
5.491 6.382 2.331
6.622 3.692 0.777
1.846 1.520 0.777
2.814 7.359 2.331
7.475 9.199 2.331
0.274 7.863 0.777
4.987 8.655 0.777
9.010 3.046 2.331
4.527 2.380 2.331
```

## Properties
Crystal system: monoclinic
Total magnetization in μB per atom: 1.111
Symmetry: Pm
E_form in eV/atom: -2.120

***

Question: Look up the E_form of the sixth one.
Answer: -2.120 eV/atom

***

Question: Which of these has the highest E_form?
Answer: Fe3P2O12